Entry 1:
An optimized crystal structure of Ga3NO3, computed with GGA-PBE.

Cell: 8.318 8.318 3.143 Å, 90.00 90.00 120.00°
Element x y z (fractional)
N (0.667, 0.333, 0.750)
N (0.333, 0.667, 0.250)
O (0.293, 0.319, 0.750)
O (0.319, 0.026, 0.250)
O (0.974, 0.293, 0.250)
O (0.026, 0.707, 0.750)
O (0.681, 0.974, 0.750)
O (0.707, 0.681, 0.250)
Ga (0.825, 0.239, 0.750)
Ga (0.761, 0.587, 0.750)
Ga (0.413, 0.175, 0.750)
Ga (0.175, 0.761, 0.250)
Ga (0.587, 0.825, 0.250)
Ga (0.239, 0.413, 0.250)

Computed properties:
* energy above the lowest structure with this stoichiometry: 0.173 eV per formula unit
* formation enthalpy at 0 K: -11.8 eV per formula unit
* calculated density: 4783 kg/m3
* space group: P6_3/m (176)
* E_tot: -6.0036 eV per atom
* energy with MP2020 corrections: -6.30 eV/atom


Entry 2:
An optimized crystal structure of Ga3NO3, computed with GGA-PBE.

Cell: 6.397 8.094 8.163 Å, 61.05 90.00 90.00°
Element x y z (fractional)
N (0.500, 0.686, 0.331)
N (0.500, 0.983, 0.696)
N (0.500, 0.331, 0.976)
N (0.000, 0.347, 0.983)
O (0.752, 0.323, 0.658)
O (0.248, 0.323, 0.658)
O (0.000, 0.976, 0.706)
O (0.000, 0.693, 0.321)
O (0.000, 0.325, 0.342)
O (0.500, 0.331, 0.330)
O (0.243, 0.669, 0.665)
O (0.754, 0.670, 0.021)
O (0.755, 0.016, 0.321)
O (0.246, 0.670, 0.021)
O (0.757, 0.669, 0.665)
O (0.245, 0.016, 0.321)
Ga (0.257, 0.844, 0.752)
Ga (0.751, 0.405, 0.848)
Ga (0.249, 0.405, 0.848)
Ga (0.500, 0.160, 0.231)
Ga (0.000, 0.243, 0.599)
Ga (0.256, 0.748, 0.407)
Ga (0.500, 0.244, 0.591)
Ga (0.743, 0.844, 0.752)
Ga (0.500, 0.594, 0.162)
Ga (0.744, 0.748, 0.407)
Ga (0.000, 0.579, 0.157)
Ga (0.000, 0.162, 0.231)

Computed properties:
* energy above the lowest structure with this stoichiometry: 0.028 eV per formula unit
* formation enthalpy at 0 K: -12.0 eV per formula unit
* calculated density: 4870 kg/m3
* space group: Pm (6)
* E_tot: -6.0244 eV per atom
* energy with MP2020 corrections: -6.32 eV/atom


Entry 3:
An optimized crystal structure of Ga3NO3, computed with GGA-PBE.

Cell: 8.243 8.243 6.366 Å, 90.00 90.00 120.00°
Element x y z (fractional)
O (0.002, 0.640, 0.754)
O (0.002, 0.640, 0.246)
O (0.360, 0.362, 0.246)
O (0.657, 0.700, 0.000)
O (0.000, 0.000, 0.232)
O (0.360, 0.362, 0.754)
O (0.000, 0.000, 0.768)
O (0.638, 0.998, 0.246)
O (0.300, 0.957, 0.000)
O (0.638, 0.998, 0.754)
O (0.043, 0.343, 0.000)
O (0.667, 0.333, 0.500)
N (0.667, 0.333, 0.000)
N (0.308, 0.977, 0.500)
N (0.023, 0.331, 0.500)
N (0.669, 0.692, 0.500)
Ga (0.929, 0.495, 0.500)
Ga (0.168, 0.905, 0.743)
Ga (0.168, 0.905, 0.257)
Ga (0.569, 0.079, 0.000)
Ga (0.737, 0.832, 0.257)
Ga (0.505, 0.434, 0.500)
Ga (0.737, 0.832, 0.743)
Ga (0.095, 0.263, 0.743)
Ga (0.510, 0.431, 0.000)
Ga (0.566, 0.071, 0.500)
Ga (0.921, 0.490, 0.000)
Ga (0.095, 0.263, 0.257)

Computed properties:
* energy above the lowest structure with this stoichiometry: 0.000 eV per formula unit
* formation enthalpy at 0 K: -12.0 eV per formula unit
* calculated density: 4808 kg/m3
* space group: P-6 (174)
* E_tot: -6.0284 eV per atom
* energy with MP2020 corrections: -6.32 eV/atom
* piezoelectric modulus e_max: 0.1 C/m²


Entry 4:
An optimized crystal structure of Ga3NO3, computed with GGA-PBE.

Cell: 6.136 8.383 8.412 Å, 119.71 89.51 91.46°
Element x y z (fractional)
N (0.550, 0.650, 0.657)
N (0.027, 0.962, 0.345)
N (0.247, 0.665, 0.990)
N (0.266, 0.326, 0.306)
O (0.750, 0.677, 0.001)
O (0.763, 0.306, 0.322)
O (0.847, 0.343, 0.670)
O (0.528, 0.338, 0.960)
O (0.528, 0.050, 0.398)
O (0.510, 0.997, 0.006)
O (0.034, 0.658, 0.602)
O (0.261, 0.997, 0.684)
O (0.768, 0.026, 0.698)
O (0.019, 0.373, 0.037)
O (0.361, 0.673, 0.335)
O (0.994, 0.991, 0.992)
Ga (0.492, 0.731, 0.904)
Ga (0.800, 0.430, 0.920)
Ga (0.013, 0.823, 0.090)
Ga (0.318, 0.568, 0.491)
Ga (0.790, 0.501, 0.572)
Ga (0.809, 0.087, 0.504)
Ga (0.295, 0.509, 0.084)
Ga (0.491, 0.170, 0.258)
Ga (0.508, 0.077, 0.836)
Ga (0.011, 0.243, 0.173)
Ga (0.287, 0.918, 0.424)
Ga (0.999, 0.911, 0.742)

Computed properties:
* energy above the lowest structure with this stoichiometry: 0.103 eV per formula unit
* formation enthalpy at 0 K: -11.9 eV per formula unit
* calculated density: 4794 kg/m3
* space group: P1 (1)
* E_tot: -6.0137 eV per atom
* energy with MP2020 corrections: -6.31 eV/atom